# 1
The following is a DFT calculation (GGA+U) of a geometry-optimized Mg6NiBiO8 structure.

Lattice parameters (Å, degrees): 8.9192 4.4855 4.4855 90.00 90.00 90.00
Closest atoms and distances in Å follow each position.
Positions (direct):
Bi (0.5000, 0.0000, 0.0000)  6 O 2.24-2.41
O (0.5000, 0.0000, 0.5000)  2 Bi 2.24, 4 Mg 2.24-2.42
O (0.5000, 0.5000, 0.0000)  2 Bi 2.24, 4 Mg 2.24-2.42
O (0.0000, 0.5000, 0.0000)  4 Mg 2.04-2.24, 2 Ni 2.24
O (0.2493, 0.5000, 0.5000)  6 Mg 2.22-2.25
O (0.7697, 0.0000, 0.0000)  1 Ni 2.05, 4 Mg 2.24
O (0.7507, 0.5000, 0.5000)  6 Mg 2.22-2.25
O (0.2303, 0.0000, 0.0000)  1 Ni 2.05, 4 Mg 2.24
O (0.0000, 0.0000, 0.5000)  4 Mg 2.04-2.24, 2 Ni 2.24
Mg (0.5000, 0.5000, 0.5000)  6 O 2.24
Mg (0.7709, 0.5000, 0.0000)  5 O 2.04-2.25
Mg (0.7709, 0.0000, 0.5000)  5 O 2.04-2.25
Mg (0.0000, 0.5000, 0.5000)  6 O 2.22-2.24
Mg (0.2291, 0.0000, 0.5000)  5 O 2.04-2.25
Mg (0.2291, 0.5000, 0.0000)  5 O 2.04-2.25
Ni (0.0000, 0.0000, 0.0000)  6 O 2.05-2.24

Summary:
ΔE to the lowest computed polymorph   0.062 eV per atom
M_tot   0.09 μB per atom
VASP energy   -5.476 eV per atom
E (MP2020)   -5.978 eV per atom
SG   P4/mmm (123)

# 2
The following is a DFT calculation (GGA+U) of a geometry-optimized LiNiBO3 structure.

Lattice parameters (Å, degrees): 6.2678 8.6639 8.0742 117.84 90.01 68.78
Closest atoms and distances in Å follow each position.
Positions (direct):
O (0.5091, 0.4820, 0.8545)  1 B 1.38
O (0.0983, 0.8030, 0.8806)  1 B 1.39
O (0.6768, 0.1463, 0.6281)  1 B 1.38
O (0.0092, 0.4819, 0.8546)  1 B 1.38
O (0.3650, 0.7699, 0.2375)  1 B 1.39
O (0.9406, 0.1188, 0.9224)  1 B 1.38
O (0.9614, 0.0774, 0.1965)  1 B 1.38
O (0.5638, 0.3722, 0.5186)  1 B 1.38
O (0.0161, 0.4677, 0.2302)  1 B 1.39
O (0.8685, 0.7630, 0.5326)  1 B 1.39
O (0.5985, 0.8029, 0.8806)  1 B 1.39
O (0.0639, 0.3720, 0.5186)  1 B 1.38
O (0.3685, 0.7630, 0.5325)  1 B 1.39
O (0.4612, 0.0773, 0.1965)  1 B 1.38
O (0.8650, 0.7699, 0.2375)  1 B 1.39
O (0.4406, 0.1187, 0.9224)  1 B 1.38
O (0.5162, 0.4676, 0.2301)  1 B 1.39
O (0.1769, 0.1462, 0.6283)  1 B 1.38
Ni (0.4196, 0.6605, 0.7080)  4 O 1.97-2.05
Ni (0.2259, 0.0481, 0.3401)  4 O 1.97-2.05
Ni (0.7259, 0.0482, 0.3398)  4 O 1.97-2.05
Ni (0.6043, 0.2916, 0.9515)  4 O 1.97-2.05
Ni (0.1044, 0.2915, 0.9515)  4 O 1.97-2.05
Ni (0.9199, 0.6602, 0.7080)  4 O 1.97-2.05
Li (0.1641, 0.6719, 0.0419)  5 O 2.05-2.18
Li (0.3151, 0.3697, 0.3274)  5 O 2.05-2.19
Li (0.5210, 0.9581, 0.6301)  5 O 2.05-2.19
Li (0.0209, 0.9581, 0.6301)  5 O 2.05-2.19
Li (0.8151, 0.3698, 0.3274)  5 O 2.05-2.19
Li (0.6641, 0.6718, 0.0419)  5 O 2.05-2.18
B (0.0001, 0.9998, 0.9998)  3 O 1.38-1.39
B (0.9166, 0.6668, 0.3334)  3 O 1.39
B (0.5001, 0.9997, 0.9998)  3 O 1.38-1.39
B (0.5832, 0.3337, 0.6671)  3 O 1.38
B (0.0833, 0.3336, 0.6671)  3 O 1.38
B (0.4166, 0.6668, 0.3333)  3 O 1.39

Summary:
ΔE to the lowest computed polymorph   0.059 eV per atom
M_tot   0.00 μB per atom
VASP energy   -6.259 eV per atom
E (MP2020)   -7.026 eV per atom

# 3
The following is a DFT calculation (GGA+U) of a geometry-optimized Li3Mn2O5 structure.

Lattice parameters (Å, degrees): 2.9756 8.2169 7.8443 75.09 96.61 89.60
Closest atoms and distances in Å follow each position.
Positions (direct):
O (0.1555, 0.6365, 0.4053)  2 Mn 1.93-2.03, 1 Li 2.13
O (0.0162, 0.2324, 0.9953)  1 Mn 1.84, 3 Li 1.98-2.04
O (0.5800, 0.9568, 0.1761)  2 Mn 1.95-1.96, 3 Li 2.06-2.15
O (0.6200, 0.4432, 0.2239)  2 Mn 1.95-1.96, 3 Li 2.05-2.15
O (0.7334, 0.3663, 0.5701)  3 Mn 2.00-2.02, 2 Li 2.12-2.17
O (0.4667, 0.0337, 0.8299)  3 Mn 2.00-2.02, 2 Li 2.12-2.17
O (0.1837, 0.1676, 0.4046)  1 Mn 1.84, 3 Li 1.98-2.04
O (0.4247, 0.5585, 0.7947)  2 Mn 1.95-1.98, 2 Li 2.14
O (0.0446, 0.7635, 0.9948)  2 Mn 1.93-2.02, 1 Li 2.13
O (0.7754, 0.8415, 0.6053)  2 Mn 1.95-1.98, 2 Li 2.14
Li (0.5999, 0.2000, 0.2000)  6 O 2.05-2.19
Li (0.4630, 0.2930, 0.8238)  5 O 1.98-2.17
Li (0.1994, 0.9204, 0.3989)  4 O 2.04-2.19
Li (0.5999, 0.7000, 0.2000)  6 O 2.07-2.16
Li (0.0004, 0.4796, 0.0011)  4 O 2.04-2.19
Li (0.7369, 0.1071, 0.5762)  5 O 1.98-2.17
Mn (0.0260, 0.0062, 0.0082)  6 O 1.84-2.02
Mn (0.1740, 0.3938, 0.3918)  6 O 1.84-2.03
Mn (0.7808, 0.6027, 0.5950)  4 O 1.93-2.01
Mn (0.4193, 0.7972, 0.8050)  4 O 1.93-2.01

Summary:
ΔE to the lowest computed polymorph   0.025 eV per atom
M_tot   0.00 μB per atom
VASP energy   -6.328 eV per atom
E (MP2020)   -7.005 eV per atom
SG   P-1 (2)

Question: What is the formula in the first record?
Answer: Mg6NiBiO8

Question: Which value of M_tot does entry 1 give?
Answer: 0.09 μB per atom

Copy entry 3 word for word.
The following is a DFT calculation (GGA+U) of a geometry-optimized Li3Mn2O5 structure.

Lattice parameters (Å, degrees): 2.9756 8.2169 7.8443 75.09 96.61 89.60
Closest atoms and distances in Å follow each position.
Positions (direct):
O (0.1555, 0.6365, 0.4053)  2 Mn 1.93-2.03, 1 Li 2.13
O (0.0162, 0.2324, 0.9953)  1 Mn 1.84, 3 Li 1.98-2.04
O (0.5800, 0.9568, 0.1761)  2 Mn 1.95-1.96, 3 Li 2.06-2.15
O (0.6200, 0.4432, 0.2239)  2 Mn 1.95-1.96, 3 Li 2.05-2.15
O (0.7334, 0.3663, 0.5701)  3 Mn 2.00-2.02, 2 Li 2.12-2.17
O (0.4667, 0.0337, 0.8299)  3 Mn 2.00-2.02, 2 Li 2.12-2.17
O (0.1837, 0.1676, 0.4046)  1 Mn 1.84, 3 Li 1.98-2.04
O (0.4247, 0.5585, 0.7947)  2 Mn 1.95-1.98, 2 Li 2.14
O (0.0446, 0.7635, 0.9948)  2 Mn 1.93-2.02, 1 Li 2.13
O (0.7754, 0.8415, 0.6053)  2 Mn 1.95-1.98, 2 Li 2.14
Li (0.5999, 0.2000, 0.2000)  6 O 2.05-2.19
Li (0.4630, 0.2930, 0.8238)  5 O 1.98-2.17
Li (0.1994, 0.9204, 0.3989)  4 O 2.04-2.19
Li (0.5999, 0.7000, 0.2000)  6 O 2.07-2.16
Li (0.0004, 0.4796, 0.0011)  4 O 2.04-2.19
Li (0.7369, 0.1071, 0.5762)  5 O 1.98-2.17
Mn (0.0260, 0.0062, 0.0082)  6 O 1.84-2.02
Mn (0.1740, 0.3938, 0.3918)  6 O 1.84-2.03
Mn (0.7808, 0.6027, 0.5950)  4 O 1.93-2.01
Mn (0.4193, 0.7972, 0.8050)  4 O 1.93-2.01

Summary:
ΔE to the lowest computed polymorph   0.025 eV per atom
M_tot   0.00 μB per atom
VASP energy   -6.328 eV per atom
E (MP2020)   -7.005 eV per atom
SG   P-1 (2)